(1)
Below is a relaxed structure of AlBiN2, with properties calculated at the PBE-GGA level.

abc: 5.7095 10.5584 15.5237
angles: 90.00 90.00 90.00
Sites, in units of the cell vectors:
Al 0.7656 0.0074 0.1862
Al 0.2656 0.4926 0.8138
Al 0.2344 0.5074 0.3138
Al 0.7344 0.9926 0.6862
Al 0.2344 0.9926 0.8138
Al 0.7344 0.5074 0.1862
Al 0.7656 0.4926 0.6862
Al 0.2656 0.0074 0.3138
Al 0.7865 0.2711 0.0630
Al 0.2865 0.2289 0.9370
Al 0.2135 0.7711 0.4370
Al 0.7135 0.7289 0.5630
Al 0.2135 0.7289 0.9370
Al 0.7135 0.7711 0.0630
Al 0.7865 0.2289 0.5630
Al 0.2865 0.2711 0.4370
Bi 0.7518 0.9954 0.4414
Bi 0.2518 0.5046 0.5586
Bi 0.2482 0.4954 0.0586
Bi 0.7482 0.0046 0.9414
Bi 0.2482 0.0046 0.5586
Bi 0.7482 0.4954 0.4414
Bi 0.7518 0.5046 0.9414
Bi 0.2518 0.9954 0.0586
Bi 0.8509 0.2702 0.3016
Bi 0.3509 0.2298 0.6984
Bi 0.1491 0.7702 0.1984
Bi 0.6491 0.7298 0.8016
Bi 0.1491 0.7298 0.6984
Bi 0.6491 0.7702 0.3016
Bi 0.8509 0.2298 0.8016
Bi 0.3509 0.2702 0.1984
N 0.5111 0.4385 0.2640
N 0.0111 0.0615 0.7360
N 0.4889 0.9385 0.2360
N 0.9889 0.5615 0.7640
N 0.4889 0.5615 0.7360
N 0.9889 0.9385 0.2640
N 0.5111 0.0615 0.7640
N 0.0111 0.4385 0.2360
N 0.5885 0.3135 0.4834
N 0.0885 0.1865 0.5166
N 0.4115 0.8135 0.0166
N 0.9115 0.6865 0.9834
N 0.4115 0.6865 0.5166
N 0.9115 0.8135 0.4834
N 0.5885 0.1865 0.9834
N 0.0885 0.3135 0.0166
N 0.6460 0.4364 0.0763
N 0.1460 0.0636 0.9237
N 0.3540 0.9364 0.4237
N 0.8540 0.5636 0.5763
N 0.3540 0.5636 0.9237
N 0.8540 0.9364 0.0763
N 0.6460 0.0636 0.5763
N 0.1460 0.4364 0.4237
N 0.7563 0.1855 0.1728
N 0.2563 0.3145 0.8272
N 0.2437 0.6855 0.3272
N 0.7437 0.8145 0.6728
N 0.2437 0.8145 0.8272
N 0.7437 0.6855 0.1728
N 0.7563 0.3145 0.6728
N 0.2563 0.1855 0.3272

Computed properties:
- Magnetization: 0.00 μB/cell
- Energy above the most stable polymorph in this dataset: 0.24 eV/f.u.
- Calculated formation energy: -0.435 eV/atom

---

(2)
Below is a relaxed structure of NaNdSi6O14, with properties calculated at the PBE-GGA level.

abc: 13.2286 13.2286 13.2286
angles: 145.94 107.77 82.31
Sites, in units of the cell vectors:
Na 0.7500 0.7500 0.0000
Na 0.5000 0.0000 0.5000
Na 0.2500 0.2500 0.0000
Na 0.0000 0.5000 0.5000
Nd 0.9785 0.7500 0.2285
Nd 0.0215 0.2500 0.7715
Nd 0.4785 0.2500 0.2285
Nd 0.5215 0.7500 0.7715
Si 0.4721 0.0039 0.7710
Si 0.9316 0.5922 0.8171
Si 0.5279 0.9961 0.2290
Si 0.7249 0.9078 0.3395
Si 0.3339 0.7320 0.0659
Si 0.0279 0.7990 0.5318
Si 0.4316 0.6145 0.3395
Si 0.5684 0.3855 0.6605
Si 0.2671 0.4961 0.4682
Si 0.7751 0.1145 0.1829
Si 0.8339 0.7680 0.6019
Si 0.0684 0.4078 0.1829
Si 0.6336 0.6782 0.3118
Si 0.2249 0.8855 0.8171
Si 0.6661 0.2680 0.9341
Si 0.9721 0.2010 0.4682
Si 0.1336 0.8218 0.9554
Si 0.3664 0.3218 0.6882
Si 0.7671 0.2990 0.7710
Si 0.1661 0.2320 0.3981
Si 0.2751 0.0922 0.6605
Si 0.7329 0.5039 0.5318
Si 0.8664 0.1782 0.0446
Si 0.2329 0.7010 0.2290
O 0.8102 0.6028 0.5421
O 0.7988 0.7776 0.2126
O 0.6425 0.8178 0.3337
O 0.5076 0.0501 0.9349
O 0.3091 0.6180 0.2626
O 0.4841 0.3088 0.6663
O 0.1152 0.5726 0.0651
O 0.4631 0.7765 0.5722
O 0.1909 0.4535 0.3089
O 0.3632 0.5309 0.8941
O 0.4392 0.8972 0.2074
O 0.3848 0.4499 0.4575
O 0.0076 0.0726 0.4575
O 0.1368 0.0309 0.1677
O 0.6368 0.4691 0.1059
O 0.1898 0.3972 0.4579
O 0.2012 0.2224 0.7874
O 0.9392 0.7318 0.5421
O 0.8632 0.9691 0.8323
O 0.9350 0.7224 0.0212
O 0.7301 0.7580 0.4881
O 0.6447 0.9535 0.2626
O 0.8091 0.5465 0.6911
O 0.3575 0.1822 0.6663
O 0.1425 0.8088 0.8248
O 0.5650 0.5862 0.7874
O 0.7957 0.1091 0.5722
O 0.4924 0.9499 0.0651
O 0.7699 0.2580 0.0279
O 0.5159 0.6912 0.3337
O 0.1447 0.8820 0.6911
O 0.0159 0.6822 0.8248
O 0.2699 0.2420 0.5119
O 0.9631 0.3909 0.6866
O 0.9841 0.3178 0.1752
O 0.9924 0.9274 0.5425
O 0.7012 0.9138 0.9788
O 0.7043 0.2765 0.3134
O 0.6152 0.5501 0.5425
O 0.2988 0.0862 0.0212
O 0.3102 0.7682 0.2074
O 0.6898 0.2318 0.7926
O 0.5369 0.2235 0.4278
O 0.8848 0.4274 0.9349
O 0.2043 0.8909 0.4278
O 0.5608 0.1028 0.7926
O 0.0608 0.2682 0.4579
O 0.4350 0.4138 0.2126
O 0.0650 0.2776 0.9788
O 0.8575 0.1912 0.1752
O 0.2301 0.7420 0.9721
O 0.3553 0.0465 0.7374
O 0.2957 0.7235 0.6866
O 0.0369 0.6091 0.3134
O 0.6909 0.3820 0.7374
O 0.8553 0.1180 0.3089

Computed properties:
- Magnetization: 0.01 μB/cell
- Calculated formation energy: -3.284 eV/atom

---

(3)
Below is a relaxed structure of ErBi2C, with properties calculated at the PBE-GGA level.

abc: 11.4739 11.4739 5.6209
angles: 90.00 90.00 90.00
Sites, in units of the cell vectors:
Er 0.1626 0.6626 0.2500
Er 0.8374 0.3374 0.7500
Er 0.8374 0.3374 0.2500
Er 0.3374 0.1626 0.7500
Er 0.1626 0.6626 0.7500
Er 0.6626 0.8374 0.2500
Er 0.6626 0.8374 0.7500
Er 0.3374 0.1626 0.2500
Bi 0.1117 0.3883 0.0000
Bi 0.8883 0.6117 0.0000
Bi 0.6117 0.1117 0.5000
Bi 0.3883 0.8883 0.0000
Bi 0.3883 0.8883 0.5000
Bi 0.6117 0.1117 0.0000
Bi 0.8883 0.6117 0.5000
Bi 0.1117 0.3883 0.5000
Bi 0.9389 0.1244 0.0000
Bi 0.0611 0.8756 0.0000
Bi 0.8756 0.9389 0.5000
Bi 0.5611 0.6244 0.0000
Bi 0.1244 0.0611 0.5000
Bi 0.4389 0.3756 0.0000
Bi 0.6244 0.4389 0.5000
Bi 0.3756 0.5611 0.5000
C 0.3522 0.5727 0.0000
C 0.6478 0.4273 0.0000
C 0.4273 0.3522 0.5000
C 0.1478 0.0727 0.0000
C 0.5727 0.6478 0.5000
C 0.8522 0.9273 0.0000
C 0.0727 0.8522 0.5000
C 0.9273 0.1478 0.5000

Computed properties:
- Magnetization: 0.00 μB/cell
- Calculated formation energy: 0.811 eV/atom

---

(4)
Below is a relaxed structure of HoSnO3, with properties calculated at the PBE-GGA level.

abc: 4.3518 4.3518 4.3518
angles: 90.00 90.00 90.00
Sites, in units of the cell vectors:
Ho 0.0000 0.0000 0.0000
Sn 0.5000 0.5000 0.5000
O 0.0000 0.0000 0.5000
O 0.0000 0.5000 0.0000
O 0.5000 0.0000 0.0000

Computed properties:
- Magnetization: 0.96 μB/cell
- Calculated formation energy: -2.135 eV/atom

---

(5)
Below is a relaxed structure of Pu3I, with properties calculated at the PBE-GGA level.

abc: 6.6339 6.6339 5.6689
angles: 90.00 90.00 120.00
Sites, in units of the cell vectors:
Pu 0.1680 0.3361 0.2500
Pu 0.6639 0.8320 0.2500
Pu 0.1680 0.8320 0.2500
Pu 0.8320 0.6639 0.7500
Pu 0.3361 0.1680 0.7500
Pu 0.8320 0.1680 0.7500
I 0.3333 0.6667 0.7500
I 0.6667 0.3333 0.2500

Computed properties:
- Energy above the most stable polymorph in this dataset: 0.00 eV/f.u.
- Calculated formation energy: -0.034 eV/atom

---

(6)
Below is a relaxed structure of ZrCu2O12F8, with properties calculated at the PBE-GGA level.

abc: 8.6116 8.6116 9.9852
angles: 95.67 109.56 119.82
Sites, in units of the cell vectors:
Zr 0.9976 0.2476 0.7500
Zr 0.0024 0.7524 0.2500
Cu 0.6528 0.5903 0.7571
Cu 0.3332 0.8957 0.7429
Cu 0.3472 0.4097 0.2429
Cu 0.6668 0.1043 0.2571
O 0.7731 0.6768 0.6376
O 0.5392 0.1355 0.8624
O 0.2269 0.3232 0.3624
O 0.4608 0.8645 0.1376
O 0.5486 0.5163 0.8883
O 0.1279 0.6603 0.6117
O 0.4514 0.4837 0.1117
O 0.8721 0.3397 0.3883
O 0.5624 0.3572 0.6427
O 0.2145 0.9197 0.8573
O 0.4376 0.6428 0.3573
O 0.7855 0.0803 0.1427
O 0.7144 0.8198 0.8558
O 0.4641 0.8587 0.6442
O 0.2856 0.1802 0.1442
O 0.5359 0.1413 0.3558
O 0.9891 0.6847 0.8795
O 0.3052 0.1096 0.6205
O 0.0109 0.3153 0.1205
O 0.6948 0.8904 0.3795
O 0.3854 0.5633 0.5985
O 0.4647 0.7869 0.9015
O 0.6146 0.4367 0.4015
O 0.5353 0.2131 0.0985
F 0.7139 0.1251 0.5729
F 0.0522 0.1410 0.9271
F 0.2861 0.8749 0.4271
F 0.9478 0.8590 0.0729
F 0.2387 0.5054 0.9190
F 0.0865 0.3197 0.5810
F 0.7613 0.4946 0.0810
F 0.9135 0.6803 0.4190
F 0.8310 0.2567 0.8636
F 0.8932 0.9674 0.6364
F 0.1690 0.7433 0.1364
F 0.1068 0.0326 0.3636
F 0.9525 0.4811 0.7113
F 0.2698 0.2412 0.7887
F 0.0475 0.5189 0.2887
F 0.7302 0.7588 0.2113

Computed properties:
- Magnetization: 43.99 μB/cell
- Energy above the most stable polymorph in this dataset: 11.29 eV/f.u.
- Calculated formation energy: -0.466 eV/atom

---

(7)
Below is a relaxed structure of RbGeCl3, with properties calculated at the PBE-GGA level.

abc: 7.1964 5.9144 8.3614
angles: 72.41 90.00 90.00
Sites, in units of the cell vectors:
Rb 0.7500 0.6728 0.7007
Rb 0.2500 0.3272 0.2993
Ge 0.7500 0.9283 0.1269
Ge 0.2500 0.0717 0.8731
Cl 0.7500 0.3306 0.1174
Cl 0.2500 0.6694 0.8826
Cl 0.4925 0.1832 0.6765
Cl 0.9925 0.8168 0.3235
Cl 0.0075 0.1832 0.6765
Cl 0.5075 0.8168 0.3235

Computed properties:
- Calculated formation energy: -1.691 eV/atom

---

(8)
Below is a relaxed structure of Ho2MgAl, with properties calculated at the PBE-GGA level.

abc: 5.1777 5.1777 5.1777
angles: 60.00 60.00 60.00
Sites, in units of the cell vectors:
Ho 0.2500 0.2500 0.2500
Ho 0.7500 0.7500 0.7500
Mg 0.0000 0.0000 0.0000
Al 0.5000 0.5000 0.5000

Computed properties:
- Calculated formation energy: -0.266 eV/atom

---

(9)
Below is a relaxed structure of Gd3SbO7, with properties calculated at the PBE-GGA level.

abc: 7.5548 7.5728 10.7290
angles: 90.00 90.00 90.00
Sites, in units of the cell vectors:
Gd 0.7729 0.0046 0.2500
Gd 0.9659 0.2534 0.5201
Gd 0.9659 0.2534 0.9799
Gd 0.4659 0.2466 0.0201
Gd 0.4659 0.2466 0.4799
Gd 0.2729 0.4954 0.7500
Gd 0.7271 0.5046 0.2500
Gd 0.5341 0.7534 0.5201
Gd 0.5341 0.7534 0.9799
Gd 0.0341 0.7466 0.0201
Gd 0.0341 0.7466 0.4799
Gd 0.2271 0.9954 0.7500
Sb 0.7520 0.0016 0.7500
Sb 0.2520 0.4984 0.2500
Sb 0.7480 0.5016 0.7500
Sb 0.2480 0.9984 0.2500
O 0.0529 0.0326 0.1241
O 0.0529 0.0326 0.3759
O 0.5707 0.0361 0.6182
O 0.5707 0.0361 0.8818
O 0.3374 0.2478 0.2500
O 0.7320 0.2514 0.1168
O 0.7320 0.2514 0.3832
O 0.2320 0.2486 0.6168
O 0.2320 0.2486 0.8832
O 0.8374 0.2522 0.7500
O 0.0707 0.4639 0.1182
O 0.0707 0.4639 0.3818
O 0.5529 0.4674 0.6241
O 0.5529 0.4674 0.8759
O 0.4471 0.5326 0.1241
O 0.4471 0.5326 0.3759
O 0.9293 0.5361 0.6182
O 0.9293 0.5361 0.8818
O 0.1626 0.7478 0.2500
O 0.7680 0.7514 0.1168
O 0.7680 0.7514 0.3832
O 0.2680 0.7486 0.6168
O 0.2680 0.7486 0.8832
O 0.6626 0.7522 0.7500
O 0.4293 0.9639 0.1182
O 0.4293 0.9639 0.3818
O 0.9471 0.9674 0.6241
O 0.9471 0.9674 0.8759

Computed properties:
- Magnetization: 84.00 μB/cell
- Energy above the most stable polymorph in this dataset: 0.18 eV/f.u.
- Calculated formation energy: -3.346 eV/atom

---

(10)
Below is a relaxed structure of Na3Cu2O4, with properties calculated at the PBE-GGA level.

abc: 11.1410 5.7241 8.3728
angles: 67.77 90.00 90.00
Sites, in units of the cell vectors:
Na 0.1009 0.8602 0.9482
Na 0.2055 0.1107 0.6186
Na 0.6009 0.1398 0.5518
Na 0.3991 0.8602 0.4482
Na 0.2945 0.1107 0.1186
Na 0.7945 0.8893 0.3814
Na 0.9213 0.1086 0.6179
Na 0.8991 0.1398 0.0518
Na 0.4213 0.8914 0.8821
Na 0.7055 0.8893 0.8814
Na 0.0787 0.8914 0.3821
Na 0.5787 0.1086 0.1179
Cu 0.1734 0.4996 0.7607
Cu 0.3266 0.4996 0.2607
Cu 0.4247 0.4703 0.7696
Cu 0.6734 0.5004 0.7393
Cu 0.8266 0.5004 0.2393
Cu 0.9247 0.5297 0.7304
Cu 0.0753 0.4703 0.2696
Cu 0.5753 0.5297 0.2304
O 0.6968 0.2784 0.2776
O 0.5448 0.7261 0.7092
O 0.8032 0.2784 0.7776
O 0.1968 0.7216 0.2224
O 0.7927 0.7599 0.6760
O 0.0555 0.7621 0.6939
O 0.5555 0.2379 0.8061
O 0.3032 0.7216 0.7224
O 0.4552 0.2739 0.2908
O 0.2927 0.2401 0.8240
O 0.9445 0.2379 0.3061
O 0.2073 0.2401 0.3240
O 0.0448 0.2739 0.7908
O 0.9552 0.7261 0.2092
O 0.4445 0.7621 0.1939
O 0.7073 0.7599 0.1760

Computed properties:
- Energy above the most stable polymorph in this dataset: 0.00 eV/f.u.
- Calculated formation energy: -1.383 eV/atom

---

(11)
Below is a relaxed structure of YBiO3, with properties calculated at the PBE-GGA level.

abc: 3.8454 3.8454 13.1524
angles: 90.00 90.00 120.00
Sites, in units of the cell vectors:
Y 0.0000 0.0000 0.5000
Y 0.0000 0.0000 0.0000
Bi 0.6667 0.3333 0.7500
Bi 0.3333 0.6667 0.2500
O 0.3333 0.6667 0.4291
O 0.6667 0.3333 0.9291
O 0.6667 0.3333 0.5709
O 0.3333 0.6667 0.0709
O 0.0000 0.0000 0.2500
O 0.0000 0.0000 0.7500

Computed properties:
- Magnetization: 0.00 μB/cell
- Calculated formation energy: -2.651 eV/atom

---

(12)
Below is a relaxed structure of Sr, with properties calculated at the PBE-GGA level.

abc: 4.2586 4.2586 4.2586
angles: 60.00 60.00 60.00
Sites, in units of the cell vectors:
Sr 0.0000 0.0000 0.0000

Computed properties:
- Energy above the most stable polymorph in this dataset: 0.01 eV/f.u.
- Calculated formation energy: 0.006 eV/atom